(A)
The following is a PBE calculation of Lu4B6O15 after structural relaxation, from the Materials Project database.

Cell: 7.943 7.943 7.943 Å, 112.00 112.00 112.00°
Element x y z (fractional)
Lu 0.000 0.000 0.000
Lu 0.102 0.808 0.286
Lu 0.286 0.102 0.808
Lu 0.808 0.286 0.102
B 0.194 0.278 0.507
B 0.278 0.507 0.194
B 0.507 0.194 0.278
B 0.519 0.857 0.600
B 0.600 0.519 0.857
B 0.857 0.600 0.519
O 0.055 0.254 0.315
O 0.094 0.516 0.122
O 0.122 0.094 0.516
O 0.254 0.315 0.055
O 0.315 0.055 0.254
O 0.361 0.893 0.595
O 0.410 0.482 0.692
O 0.482 0.692 0.410
O 0.516 0.122 0.094
O 0.595 0.361 0.893
O 0.692 0.410 0.482
O 0.731 0.999 0.807
O 0.807 0.731 0.999
O 0.893 0.595 0.361
O 0.999 0.807 0.731


(B)
The following is a PBE calculation of Lu4B6O15 after structural relaxation, from the Materials Project database.

Cell: 6.181 6.181 18.677 Å, 95.82 95.82 41.43°
Element x y z (fractional)
Lu 0.063 0.669 0.900
Lu 0.068 0.657 0.698
Lu 0.331 0.937 0.600
Lu 0.343 0.932 0.802
Lu 0.657 0.068 0.198
Lu 0.669 0.063 0.400
Lu 0.932 0.343 0.302
Lu 0.937 0.331 0.100
B 0.021 0.642 0.525
B 0.197 0.609 0.087
B 0.204 0.659 0.306
B 0.341 0.796 0.194
B 0.358 0.979 0.975
B 0.391 0.803 0.413
B 0.609 0.197 0.587
B 0.642 0.021 0.025
B 0.659 0.204 0.806
B 0.796 0.341 0.694
B 0.803 0.391 0.913
B 0.979 0.358 0.475
O 0.003 0.250 0.981
O 0.052 0.316 0.704
O 0.071 0.565 0.139
O 0.091 0.493 0.450
O 0.130 0.870 0.250
O 0.157 0.813 0.379
O 0.187 0.843 0.121
O 0.250 0.003 0.481
O 0.287 0.546 0.571
O 0.316 0.052 0.204
O 0.333 0.535 0.803
O 0.435 0.929 0.361
O 0.454 0.713 0.929
O 0.465 0.667 0.697
O 0.493 0.091 0.950
O 0.507 0.909 0.050
O 0.535 0.333 0.303
O 0.546 0.287 0.071
O 0.565 0.071 0.639
O 0.667 0.465 0.197
O 0.684 0.948 0.796
O 0.713 0.454 0.429
O 0.750 0.997 0.519
O 0.813 0.157 0.879
O 0.843 0.187 0.621
O 0.870 0.130 0.750
O 0.909 0.507 0.550
O 0.929 0.435 0.861
O 0.948 0.684 0.296
O 0.997 0.750 0.019


The energetic minimum among the shown structures is (B); the next structure lies 5.0 kJ/mol of atoms above.